Entry 1:
Compound: Er2Fe4Si9
Source: Materials Project
Functional: PBE
Structure: optimized geometry

Cell: 3.9368 3.9368 15.9523 Å, 90.00 90.00 120.00°
Last column: nearest neighbours and their distance in Å.
Space group P-3m1 (No. 164)
One atom of each set of equivalent atoms:
Er 0.3333 0.6667 0.2585  8 Si 2.85-3.16, 3 Fe 3.18
Fe 0.3333 0.6667 0.6021  7 Si 2.31-2.46
Fe 0.3333 0.6667 0.9101  7 Si 2.31-2.47
Si 0.0000 0.0000 0.0000  8 Si 2.41-2.50, 6 Fe 2.69
Si 0.0000 0.0000 0.1511  4 Si 2.41-2.66, 3 Fe 2.47
Si 0.0000 0.0000 0.3719  3 Fe 2.31
Si 0.3333 0.6667 0.0650  4 Fe 2.31-2.47, 3 Si 2.50
Si 0.3333 0.6667 0.4569  4 Fe 2.32-2.46

Results
Total energy ... -96.9 eV for the cell shown
E_form ... -291 meV per atom

Entry 2:
Compound: Er2FeSi4
Source: Materials Project
Functional: PBE
Structure: optimized geometry

Cell: 3.9720 4.0808 14.9960 Å, 90.00 90.00 90.00°
Last column: nearest neighbours and their distance in Å.
Space group Amm2 (No. 38)
One atom of each set of equivalent atoms:
Er 0.0000 0.0000 0.0000  10 Si 2.89-2.99, 1 Fe 3.05
Er 0.5000 0.0000 0.2027  10 Si 2.97-3.18, 4 Fe 3.18
Fe 0.0000 0.0000 0.7965  5 Si 2.20-2.25
Si 0.0000 0.0000 0.3594  2 Fe 2.25
Si 0.0000 0.0000 0.6462  1 Fe 2.25
Si 0.5000 0.0000 0.5398  2 Si 2.55
Si 0.5000 0.0000 0.8600  2 Fe 2.20

Results
Excess energy over the best structure of this formula in the dataset ... 0.00 kcal/mol of atoms
Total energy ... -87.1 eV for the cell shown
E_form ... -569 meV per atom

Entry 3:
Compound: Er2Fe3Si5
Source: Materials Project
Functional: PBE
Structure: optimized geometry

Cell: 10.3254 10.3254 5.4426 Å, 90.00 90.00 90.00°
Last column: nearest neighbours and their distance in Å.
Space group P4/mnc (No. 128)
One atom of each set of equivalent atoms:
Er 0.0703 0.2358 0.0000  9 Si 2.74-3.03, 2 Fe 3.06
Fe 0.0000 0.5000 0.2500  6 Si 2.32-2.58
Fe 0.1228 0.8550 0.5000  6 Si 2.34-2.39
Si 0.0000 0.0000 0.2653  4 Fe 2.34, 1 Si 2.56
Si 0.0233 0.3193 0.5000  4 Fe 2.32-2.39, 2 Si 2.47
Si 0.1766 0.6766 0.2500  3 Fe 2.36-2.58, 2 Si 2.47

Results
Total energy ... -274.6 eV for the cell shown
E_form ... -662 meV per atom

Entry 4:
Compound: Er2Fe14Si3
Source: Materials Project
Functional: PBE
Structure: optimized geometry

Cell: 8.3055 8.3055 8.1801 Å, 90.00 90.00 120.00°
Last column: nearest neighbours and their distance in Å.
Space group P6_3/mmc (No. 194)
One atom of each set of equivalent atoms:
Er 0.0000 0.0000 0.2500  12 Fe 2.86-3.10
Er 0.3333 0.6667 0.2500  14 Fe 2.90-3.07, 6 Si 3.15
Fe 0.0279 0.3578 0.7500  2 Si 2.43, 6 Fe 2.50-2.59
Fe 0.1679 0.3359 0.0131  2 Si 2.39, 7 Fe 2.43-2.58
Fe 0.3333 0.6667 0.6098  1 Fe 2.29, 3 Si 2.56
Si 0.0000 0.5000 0.0000  10 Fe 2.39-2.56

Results
Total energy ... -298.5 eV for the cell shown
E_form ... -266 meV per atom

Entry 5:
Compound: ErFe2Si2
Source: Materials Project
Functional: PBE
Structure: optimized geometry

Cell: 3.9481 3.9481 9.4651 Å, 90.00 90.00 90.00°
Last column: nearest neighbours and their distance in Å.
Space group I4/mmm (No. 139)
One atom of each set of equivalent atoms:
Er 0.0000 0.0000 0.0000  8 Si 3.06, 8 Fe 3.08
Fe 0.0000 0.5000 0.2500  4 Si 2.26
Si 0.0000 0.0000 0.3667  4 Fe 2.26, 1 Si 2.52

Results
Total energy ... -71.5 eV for the cell shown
E_form ... -651 meV per atom

Entry 6:
Compound: SmErFe17
Source: Materials Project
Functional: PBE
Structure: optimized geometry

Cell: 8.5015 8.5015 12.4046 Å, 90.00 90.00 120.00°
Last column: nearest neighbours and their distance in Å.
Space group R3m (No. 160, hexagonal axes)
One atom of each set of equivalent atoms:
Sm 0.0000 0.0000 0.0000  19 Fe 3.03-3.28
Er 0.0000 0.0000 0.3163  19 Fe 3.02-3.27
Fe 0.0000 0.0000 0.5611  7 Fe 2.40-2.64
Fe 0.0000 0.0000 0.7542  7 Fe 2.40-2.65
Fe 0.0005 0.5002 0.1577  10 Fe 2.43-2.61
Fe 0.0002 0.5001 0.5022  9 Fe 2.46-2.65
Fe 0.0407 0.3732 0.3246  8 Fe 2.43-2.62
Fe 0.1672 0.3343 0.1473  9 Fe 2.45-2.64

Results
Total energy ... -459.6 eV for the cell shown
E_form ... 4 meV per atom

Entry 7:
Compound: SmErFe4
Source: Materials Project
Functional: PBE
Structure: optimized geometry

Cell: 7.3171 7.3171 7.3171 Å, 90.00 90.00 90.00°
Last column: nearest neighbours and their distance in Å.
Space group F-43m (No. 216)
One atom of each set of equivalent atoms:
Sm 0.0000 0.0000 0.0000  12 Fe 3.03, 4 Er 3.17
Er 0.2500 0.2500 0.7500  12 Fe 3.03, 4 Sm 3.17
Fe 0.1249 0.1249 0.3751  6 Fe 2.58-2.59

Results
Total energy ... -173.7 eV for the cell shown
E_form ... -44 meV per atom

Entry 8:
Compound: SmErTi2Fe22
Source: Materials Project
Functional: PBE
Structure: optimized geometry

Cell: 12.0271 4.7057 12.0236 Å, 90.00 90.05 90.00°
Last column: nearest neighbours and their distance in Å.
Space group Cm (No. 8)
One atom of each set of equivalent atoms:
Sm 0.0000 0.0000 0.0000  19 Fe 2.98-3.27, 1 Ti 3.18
Er 0.0002 0.5000 0.4988  19 Fe 2.95-3.26, 1 Ti 3.17
Ti 0.3131 0.0000 0.6848  9 Fe 2.37-2.65
Ti 0.3134 0.5000 0.1875  7 Fe 2.36-2.64
Fe 0.1068 0.0000 0.6110  9 Fe 2.43-2.69, 1 Ti 2.63
Fe 0.1086 0.5000 0.1158  8 Fe 2.42-2.71, 1 Ti 2.61
Fe 0.1124 0.0000 0.3872  10 Fe 2.42-2.71
Fe 0.1137 0.5000 0.8852  8 Fe 2.43-2.60
Fe 0.1739 0.5000 0.3257  1 Ti 2.36, 7 Fe 2.56-2.64
Fe 0.1745 0.0000 0.8246  1 Ti 2.37, 7 Fe 2.57-2.65
Fe 0.1761 0.0000 0.1817  9 Fe 2.43-2.62
Fe 0.1757 0.5000 0.6784  9 Fe 2.44-2.64
Fe 0.2469 0.2494 0.0019  9 Fe 2.35-2.60
Fe 0.2474 0.2505 0.5001  9 Fe 2.35-2.59
Fe 0.3187 0.5000 0.8230  9 Fe 2.44-2.65
Fe 0.3197 0.0000 0.3241  9 Fe 2.43-2.62
Fe 0.3836 0.0000 0.1171  8 Fe 2.44-2.72, 2 Ti 2.64
Fe 0.3849 0.0000 0.8906  8 Fe 2.43-2.72, 1 Ti 2.62
Fe 0.3852 0.5000 0.6130  8 Fe 2.44-2.66, 2 Ti 2.65
Fe 0.3874 0.5000 0.3928  9 Fe 2.42-2.71, 1 Ti 2.62
Fe 0.4984 0.2491 0.2537  9 Fe 2.34-2.59
Fe 0.4984 0.2500 0.7506  9 Fe 2.35-2.61

Results
Total energy ... -426.4 eV for the cell shown
E_form ... -68 meV per atom

Entry 9:
Compound: ErV2Fe10
Source: Materials Project
Functional: PBE
Structure: optimized geometry

Cell: 4.6813 8.4387 8.4899 Å, 90.00 90.00 90.00°
Last column: nearest neighbours and their distance in Å.
Space group Immm (No. 71)
One atom of each set of equivalent atoms:
Er 0.0000 0.0000 0.0000  18 Fe 3.01-3.21, 2 V 3.04
V 0.0000 0.0000 0.3586  1 V 2.40, 8 Fe 2.58-2.62
Fe 0.0000 0.2760 0.5000  8 Fe 2.43-2.70, 2 V 2.62
Fe 0.0000 0.3584 0.0000  9 Fe 2.39-2.61
Fe 0.0000 0.5000 0.2735  8 Fe 2.42-2.70, 2 V 2.60
Fe 0.2500 0.2500 0.2500  8 Fe 2.34-2.59, 2 V 2.58

Results
Total energy ... -216.9 eV for the cell shown
E_form ... -78 meV per atom

Entry 10:
Compound: YEr3Fe34
Source: Materials Project
Functional: PBE
Structure: optimized geometry

Cell: 8.4646 8.4646 8.2460 Å, 90.00 90.00 120.00°
Last column: nearest neighbours and their distance in Å.
Space group P-6m2 (No. 187)
One atom of each set of equivalent atoms:
Y 0.0000 0.0000 0.0000  20 Fe 2.94-3.20
Er 0.3333 0.6667 0.0000  18 Fe 2.96-3.27
Er 0.3333 0.6667 0.5000  18 Fe 2.96-3.26
Er 0.6667 0.3333 0.5000  20 Fe 2.94-3.19
Fe 0.0000 0.0000 0.3569  4 Fe 2.36-2.60
Fe 0.0015 0.5007 0.2650  9 Fe 2.44-2.65
Fe 0.0041 0.3001 0.5000  8 Fe 2.44-2.58
Fe 0.1677 0.3355 0.2354  9 Fe 2.44-2.66
Fe 0.3339 0.1670 0.2504  10 Fe 2.44-2.60
Fe 0.3722 0.0344 0.0000  8 Fe 2.45-2.59
Fe 0.6667 0.3333 0.1438  7 Fe 2.37-2.65

Results
Total energy ... -308.7 eV for the cell shown
E_form ... -16 meV per atom

Entry 11:
Compound: Y2Er4Fe23
Source: Materials Project
Functional: PBE
Structure: optimized geometry

Cell: 8.4832 12.0150 8.4828 Å, 90.00 90.00 90.00°
Last column: nearest neighbours and their distance in Å.
Space group Imm2 (No. 44)
One atom of each set of equivalent atoms:
Y 0.2078 0.0000 0.0000  12 Fe 2.91-3.05
Er 0.0000 0.2091 0.2079  12 Fe 2.89-3.04
Er 0.2086 0.0000 0.4165  12 Fe 2.89-3.04
Fe 0.0000 0.0000 0.7062  8 Fe 2.45-2.63
Fe 0.0000 0.1753 0.5579  9 Fe 2.45-2.60
Fe 0.0000 0.1759 0.8563  9 Fe 2.46-2.60
Fe 0.0000 0.3777 0.4504  7 Fe 2.53-2.64
Fe 0.0000 0.3784 0.9644  7 Fe 2.52-2.62
Fe 0.0000 0.5000 0.2070  8 Fe 2.52-2.53
Fe 0.0000 0.5000 0.7085  8 Fe 2.46-2.64
Fe 0.1491 0.3244 0.7078  9 Fe 2.45-2.60
Fe 0.2430 0.3781 0.2067  7 Fe 2.53-2.63
Fe 0.2499 0.2494 0.4574  8 Fe 2.45-2.63

Results
Total energy ... -455.6 eV for the cell shown
E_form ... -62 meV per atom

Entry 12:
Compound: ErGa6
Source: Materials Project
Functional: PBE
Structure: optimized geometry

Cell: 5.9907 5.9907 7.5459 Å, 90.00 90.00 90.00°
Last column: nearest neighbours and their distance in Å.
Space group P4/nbm (No. 125, origin choice 2)
One atom of each set of equivalent atoms:
Er 0.2500 0.7500 0.0000  12 Ga 3.08-3.23
Ga 0.0595 0.5595 0.3480  3 Ga 2.51-2.60
Ga 0.2500 0.2500 0.1605  5 Ga 2.42-2.60

Results
Excess energy over the best structure of this formula in the dataset ... 0.00 kcal/mol of atoms
Total energy ... -49.4 eV for the cell shown
E_form ... -280 meV per atom